A plane-wave DFT calculation with GGA+U was carried out for crystalline Co6O5F7 at its relaxed geometry.

magnetic moment = 19.0 μB/f.u.
calculated density = 4.82 Mg/m³
relative energy among the computed polymorphs = 0.029 eV/atom
DFT formation energy = -30.39 eV per formula unit

Lattice parameters (Å, degrees): 4.629 5.529 7.654 86.43 88.06 86.76
Space group P1 (No. 1)
Inequivalent atoms, fractional coordinates:
Co (0.000, 0.000, 0.000) (multiplicity 1)
Co (0.006, 0.326, 0.673) (multiplicity 1)
Co (0.016, 0.678, 0.345) (multiplicity 1)
Co (0.480, 0.517, 0.018) (multiplicity 1)
Co (0.531, 0.170, 0.322) (multiplicity 1)
Co (0.548, 0.860, 0.685) (multiplicity 1)
O (0.302, 0.802, 0.907) (multiplicity 1)
O (0.316, 0.465, 0.247) (multiplicity 1)
O (0.704, 0.206, 0.104) (multiplicity 1)
O (0.723, 0.883, 0.430) (multiplicity 1)
O (0.820, 0.029, 0.784) (multiplicity 1)
F (0.199, 0.973, 0.223) (multiplicity 1)
F (0.204, 0.284, 0.909) (multiplicity 1)
F (0.218, 0.643, 0.580) (multiplicity 1)
F (0.328, 0.141, 0.554) (multiplicity 1)
F (0.701, 0.536, 0.782) (multiplicity 1)
F (0.812, 0.383, 0.443) (multiplicity 1)
F (0.818, 0.714, 0.099) (multiplicity 1)